1.
Material: CrO
Method: DFT, meta-GGA r2SCAN
State: relaxed Values from VASP.

Output
VASP energy	-12.394	eV/atom

Structure (Quantum ESPRESSO input):
```
&SYSTEM
  ibrav = 0, nat = 8, ntyp = 2
/
ATOMIC_SPECIES
Cr 52.00 Cr.upf
O 16.00 O.upf
ATOMIC_POSITIONS crystal
Cr 0.600 0.500 0.900
Cr 0.100 0.500 0.400
Cr 0.100 0.000 0.900
Cr 0.600 0.000 0.400
O 0.998 0.396 0.145
O 0.498 0.895 0.145
O 0.702 0.105 0.655
O 0.202 0.605 0.655
CELL_PARAMETERS angstrom
2.883 -0.699 -0.654
-1.184 6.164 2.129
1.677 1.557 5.772
```

=====

2.
Material: LaZn5
Method: DFT, meta-GGA r2SCAN
State: relaxed Values from VASP.

Output
VASP energy	-12.724	eV/atom

Structure (Quantum ESPRESSO input):
```
&SYSTEM
  ibrav = 0, nat = 6, ntyp = 2
/
ATOMIC_SPECIES
La 138.91 La.upf
Zn 65.41 Zn.upf
ATOMIC_POSITIONS crystal
La 0.000 0.000 0.000
Zn 0.000 0.500 0.500
Zn 0.333 0.667 0.000
Zn 0.667 0.333 0.000
Zn 0.500 0.000 0.500
Zn 0.500 0.500 0.500
CELL_PARAMETERS angstrom
-1.457 5.173 -0.575
0.076 -2.256 4.910
4.039 1.191 0.485
```

=====

3.
Material: SmHg2
Method: DFT, meta-GGA r2SCAN
State: relaxed Values from VASP.

Output
VASP energy	-43.303	eV/atom

Structure (Quantum ESPRESSO input):
```
&SYSTEM
  ibrav = 0, nat = 3, ntyp = 2
/
ATOMIC_SPECIES
Sm 150.36 Sm.upf
Hg 200.59 Hg.upf
ATOMIC_POSITIONS crystal
Sm 0.000 0.000 0.000
Hg 0.340 0.323 0.661
Hg 0.660 0.677 0.339
CELL_PARAMETERS angstrom
0.428 0.247 -4.274
-1.637 -4.077 0.648
-2.713 4.698 0.000
```

=====

4.
Material: BaTi6O12
Method: DFT, meta-GGA r2SCAN
State: relaxed Values from VASP.

Output
VASP energy	-12.577	eV/atom

Structure (Quantum ESPRESSO input):
```
&SYSTEM
  ibrav = 0, nat = 38, ntyp = 3
/
ATOMIC_SPECIES
Ba 137.33 Ba.upf
Ti 47.87 Ti.upf
O 16.00 O.upf
ATOMIC_POSITIONS crystal
Ba 0.054 0.054 0.000
Ba 0.613 0.613 0.000
Ti 0.818 0.004 0.478
Ti 0.482 0.663 0.479
Ti 0.141 0.327 0.478
Ti 0.848 0.663 0.522
Ti 0.526 0.340 0.522
Ti 0.185 0.003 0.521
Ti 0.998 0.489 0.820
Ti 0.659 0.146 0.815
Ti 0.336 0.823 0.815
Ti 0.669 0.178 0.180
Ti 0.331 0.844 0.185
Ti 0.008 0.521 0.185
O 0.683 0.368 0.384
O 0.342 0.040 0.382
O 0.009 0.707 0.382
O 0.984 0.298 0.616
O 0.658 0.960 0.618
O 0.325 0.627 0.618
O 0.961 0.318 0.277
O 0.626 0.982 0.277
O 0.297 0.656 0.286
O 0.705 0.349 0.723
O 0.370 0.010 0.714
O 0.041 0.685 0.723
O 0.702 0.343 0.053
O 0.377 0.018 0.053
O 0.031 0.687 0.051
O 0.964 0.323 0.947
O 0.636 0.980 0.949
O 0.290 0.649 0.947
O 0.008 0.973 0.642
O 0.335 0.300 0.642
O 0.677 0.643 0.654
O 0.332 0.367 0.358
O 0.658 0.693 0.358
O 0.990 0.023 0.346
CELL_PARAMETERS angstrom
6.782 4.873 0.812
-7.402 3.776 1.159
0.827 -5.896 6.076
```

=====

5.
Material: Li3CeSb2
Method: DFT, meta-GGA r2SCAN
State: relaxed Values from VASP.

Output
VASP energy	-15.906	eV/atom

Structure (Quantum ESPRESSO input):
```
&SYSTEM
  ibrav = 0, nat = 6, ntyp = 3
/
ATOMIC_SPECIES
Li 6.94 Li.upf
Ce 140.12 Ce.upf
Sb 121.76 Sb.upf
ATOMIC_POSITIONS crystal
Li 0.667 0.333 0.354
Li 0.333 0.667 0.646
Li 0.000 0.000 0.500
Ce 0.000 0.000 0.000
Sb 0.667 0.333 0.743
Sb 0.333 0.667 0.257
CELL_PARAMETERS angstrom
-4.486 1.079 0.094
1.953 -1.406 -3.937
-1.655 -7.027 1.689
```

=====

6.
Material: DyPd2Pb
Method: DFT, meta-GGA r2SCAN
State: relaxed Values from VASP.

Output
VASP energy	-34.292	eV/atom

Structure (Quantum ESPRESSO input):
```
&SYSTEM
  ibrav = 0, nat = 4, ntyp = 3
/
ATOMIC_SPECIES
Dy 162.50 Dy.upf
Pd 106.42 Pd.upf
Pb 207.20 Pb.upf
ATOMIC_POSITIONS crystal
Dy 0.500 0.500 0.500
Pd 0.250 0.250 0.250
Pd 0.750 0.750 0.750
Pb 0.000 0.000 0.000
CELL_PARAMETERS angstrom
0.000 3.416 3.416
3.416 0.000 3.416
3.416 3.416 0.000
```

=====

7.
Material: Ca2MgC3O9
Method: DFT, meta-GGA r2SCAN
State: relaxed Values from VASP.

Output
E above lowest polymorph	9.2	meV per atom

Structure (Quantum ESPRESSO input):
```
&SYSTEM
  ibrav = 0, nat = 30, ntyp = 4
/
ATOMIC_SPECIES
Ca 40.08 Ca.upf
Mg 24.30 Mg.upf
C 12.01 C.upf
O 16.00 O.upf
ATOMIC_POSITIONS crystal
Ca 0.000 0.000 0.498
Ca 0.000 0.000 0.998
Ca 0.333 0.667 0.316
Ca 0.667 0.333 0.816
Mg 0.667 0.333 0.159
Mg 0.333 0.667 0.659
C 0.667 0.333 0.405
C 0.333 0.667 0.905
C 0.000 0.000 0.231
C 0.000 0.000 0.731
C 0.333 0.667 0.087
C 0.667 0.333 0.587
O 0.675 0.072 0.405
O 0.397 0.325 0.405
O 0.928 0.603 0.405
O 0.603 0.928 0.905
O 0.072 0.675 0.905
O 0.325 0.397 0.905
O 0.284 0.039 0.232
O 0.756 0.716 0.232
O 0.961 0.244 0.232
O 0.244 0.961 0.732
O 0.039 0.284 0.732
O 0.716 0.756 0.732
O 0.051 0.630 0.086
O 0.579 0.949 0.086
O 0.370 0.421 0.086
O 0.421 0.370 0.586
O 0.630 0.051 0.586
O 0.949 0.579 0.586
CELL_PARAMETERS angstrom
2.424 -4.199 0.000
2.424 4.199 0.000
0.000 0.000 16.598
```

=====

8.
Material: GdPt3
Method: DFT, meta-GGA r2SCAN
State: relaxed Values from VASP.

Output
VASP energy	-50.469	eV/atom

Structure (Quantum ESPRESSO input):
```
&SYSTEM
  ibrav = 0, nat = 4, ntyp = 2
/
ATOMIC_SPECIES
Gd 157.25 Gd.upf
Pt 195.08 Pt.upf
ATOMIC_POSITIONS crystal
Gd 0.000 0.000 0.000
Pt 0.000 0.500 0.500
Pt 0.500 0.500 0.000
Pt 0.500 0.000 0.500
CELL_PARAMETERS angstrom
4.124 0.000 0.000
0.000 4.124 0.000
0.000 0.000 4.124
```

=====

9.
Material: LaMgI5
Method: DFT, meta-GGA r2SCAN
State: relaxed Values from VASP.

Output
E above lowest polymorph	4.1	meV per atom

Structure (Quantum ESPRESSO input):
```
&SYSTEM
  ibrav = 0, nat = 28, ntyp = 3
/
ATOMIC_SPECIES
La 138.91 La.upf
Mg 24.30 Mg.upf
I 126.90 I.upf
ATOMIC_POSITIONS crystal
La 0.750 0.742 0.156
La 0.250 0.242 0.344
La 0.750 0.758 0.656
La 0.250 0.258 0.844
Mg 0.750 0.242 0.093
Mg 0.250 0.742 0.407
Mg 0.750 0.258 0.593
Mg 0.250 0.758 0.907
I 0.250 0.350 0.026
I 0.250 0.860 0.051
I 0.250 0.590 0.155
I 0.250 0.137 0.160
I 0.750 0.351 0.234
I 0.250 0.851 0.266
I 0.750 0.637 0.340
I 0.750 0.090 0.345
I 0.750 0.360 0.449
I 0.750 0.850 0.474
I 0.250 0.150 0.526
I 0.250 0.640 0.551
I 0.250 0.910 0.655
I 0.250 0.363 0.660
I 0.750 0.149 0.734
I 0.250 0.649 0.766
I 0.750 0.863 0.840
I 0.750 0.410 0.845
I 0.750 0.140 0.949
I 0.750 0.650 0.974
CELL_PARAMETERS angstrom
4.348 0.000 0.000
0.000 15.025 0.000
0.000 0.000 17.463
```

=====

10.
Material: Pr2ScSi2
Method: DFT, meta-GGA r2SCAN
State: relaxed Values from VASP.

Output
VASP energy	-18.297	eV/atom

Structure (Quantum ESPRESSO input):
```
&SYSTEM
  ibrav = 0, nat = 10, ntyp = 3
/
ATOMIC_SPECIES
Pr 140.91 Pr.upf
Sc 44.96 Sc.upf
Si 28.09 Si.upf
ATOMIC_POSITIONS crystal
Pr 0.678 0.178 0.500
Pr 0.322 0.822 0.500
Pr 0.178 0.322 0.500
Pr 0.822 0.678 0.500
Sc 0.000 0.000 0.000
Sc 0.500 0.500 0.000
Si 0.117 0.617 0.000
Si 0.883 0.383 0.000
Si 0.617 0.883 0.000
Si 0.383 0.117 0.000
CELL_PARAMETERS angstrom
7.423 0.000 0.000
0.000 7.423 0.000
0.000 0.000 4.481
```

=====

11.
Material: Cs3ZnCl5
Method: DFT, meta-GGA r2SCAN
State: relaxed Values from VASP.

Output
VASP energy	-14.743	eV/atom

Structure (Quantum ESPRESSO input):
```
&SYSTEM
  ibrav = 0, nat = 18, ntyp = 3
/
ATOMIC_SPECIES
Cs 132.91 Cs.upf
Zn 65.41 Zn.upf
Cl 35.45 Cl.upf
ATOMIC_POSITIONS crystal
Cs 0.163 0.663 0.000
Cs 0.663 0.837 0.000
Cs 0.750 0.750 0.500
Cs 0.837 0.337 0.000
Cs 0.250 0.250 0.500
Cs 0.337 0.163 0.000
Zn 0.750 0.250 0.500
Zn 0.250 0.750 0.500
Cl 0.702 0.482 0.684
Cl 0.982 0.202 0.684
Cl 0.298 0.518 0.316
Cl 0.500 0.500 0.000
Cl 0.202 0.702 0.684
Cl 0.798 0.298 0.316
Cl 0.482 0.982 0.684
Cl 0.018 0.798 0.316
Cl 0.518 0.018 0.316
Cl 0.000 0.000 0.000
CELL_PARAMETERS angstrom
8.159 0.000 -4.387
-2.359 7.810 -4.387
-0.004 -0.006 9.772
```

=====

12.
Material: Lu2ZnGeO6
Method: DFT, meta-GGA r2SCAN
State: relaxed Values from VASP.

Output
VASP energy	-15.947	eV/atom

Structure (Quantum ESPRESSO input):
```
&SYSTEM
  ibrav = 0, nat = 10, ntyp = 4
/
ATOMIC_SPECIES
Lu 174.97 Lu.upf
Zn 65.41 Zn.upf
Ge 72.64 Ge.upf
O 16.00 O.upf
ATOMIC_POSITIONS crystal
Lu 0.250 0.250 0.250
Lu 0.750 0.750 0.750
Zn 0.000 0.000 0.000
Ge 0.500 0.500 0.500
O 0.742 0.258 0.258
O 0.258 0.742 0.742
O 0.258 0.742 0.258
O 0.742 0.258 0.742
O 0.258 0.258 0.742
O 0.742 0.742 0.258
CELL_PARAMETERS angstrom
0.000 3.770 3.770
3.770 0.000 3.770
3.770 3.770 0.000
```

=====

Computed total magnetization, in the same sequence as the records: 0.00; 0.00; 0.00; 0.11; 0.17; 0.00; 0.00; 1.72; 0.00; 0.08; 0.00; 0.00 μB per atom.